# Dy3TaO7

A geometry-optimized Dy3TaO7 structure (PBE-GGA, Materials Project).

Cell: 6.466 6.466 7.529 Å, 90.00 90.00 110.33°
Fractional positions:
Dy (0.515, 0.054, 0.250)
Dy (0.946, 0.485, 0.750)
Dy (0.000, 0.000, 0.000)
Dy (0.000, 0.000, 0.500)
Dy (0.054, 0.515, 0.250)
Dy (0.485, 0.946, 0.750)
Ta (0.500, 0.500, 0.000)
Ta (0.500, 0.500, 0.500)
O (0.887, 0.152, 0.250)
O (0.848, 0.113, 0.750)
O (0.822, 0.564, 0.034)
O (0.822, 0.564, 0.466)
O (0.436, 0.178, 0.966)
O (0.436, 0.178, 0.534)
O (0.577, 0.577, 0.750)
O (0.423, 0.423, 0.250)
O (0.564, 0.822, 0.034)
O (0.178, 0.436, 0.534)
O (0.564, 0.822, 0.466)
O (0.178, 0.436, 0.966)
O (0.113, 0.848, 0.750)
O (0.152, 0.887, 0.250)

Calculated values
The calculation puts the formation energy from the elements at -3.8410 eV per atom. For the polymorph energy (0 for the lowest one), the calculation gives 24 meV/atom. For the spin magnetization, the calculation gives 0.0001 μB/atom.

# TbGdP2O8

A geometry-optimized TbGdP2O8 structure (PBE-GGA, Materials Project).

Cell: 5.830 5.830 5.830 Å, 105.98 105.98 116.71°
Fractional positions:
Tb (0.250, 0.750, 0.500)
Gd (0.000, 0.000, 0.000)
P (0.750, 0.250, 0.500)
P (0.500, 0.500, 0.000)
O (0.909, 0.582, 0.673)
O (0.483, 0.657, 0.826)
O (0.832, 0.657, 0.174)
O (0.909, 0.236, 0.327)
O (0.343, 0.168, 0.826)
O (0.764, 0.091, 0.673)
O (0.418, 0.091, 0.327)
O (0.343, 0.517, 0.174)

Calculated values
The calculation puts the formation energy from the elements at -3.4786 eV per atom. For the spin magnetization, the calculation gives 0.5833 μB/atom.

# MgTi14O25

A geometry-optimized MgTi14O25 structure (PBE-GGA, Materials Project).

Cell: 10.735 10.735 12.622 Å, 57.58 57.58 54.85°
Fractional positions:
Mg (0.696, 0.304, 0.750)
Mg (0.304, 0.696, 0.250)
Ti (0.905, 0.294, 0.253)
Ti (0.091, 0.357, 0.940)
Ti (0.513, 0.239, 0.060)
Ti (0.310, 0.038, 0.063)
Ti (0.357, 0.091, 0.440)
Ti (0.155, 0.890, 0.442)
Ti (0.554, 0.292, 0.443)
Ti (0.497, 0.105, 0.750)
Ti (0.706, 0.095, 0.247)
Ti (0.503, 0.895, 0.250)
Ti (0.038, 0.310, 0.563)
Ti (0.845, 0.110, 0.558)
Ti (0.890, 0.155, 0.942)
Ti (0.690, 0.962, 0.937)
Ti (0.110, 0.845, 0.058)
Ti (0.909, 0.643, 0.060)
Ti (0.962, 0.690, 0.437)
Ti (0.761, 0.487, 0.440)
Ti (0.294, 0.905, 0.753)
Ti (0.095, 0.706, 0.747)
Ti (0.105, 0.497, 0.250)
Ti (0.239, 0.513, 0.560)
Ti (0.446, 0.708, 0.557)
Ti (0.643, 0.909, 0.560)
Ti (0.292, 0.554, 0.943)
Ti (0.487, 0.761, 0.940)
Ti (0.708, 0.446, 0.057)
Ti (0.895, 0.503, 0.750)
O (0.711, 0.343, 0.432)
O (0.103, 0.203, 0.119)
O (0.200, 0.299, 0.377)
O (0.001, 0.098, 0.377)
O (0.399, 0.303, 0.623)
O (0.490, 0.399, 0.889)
O (0.299, 0.200, 0.877)
O (0.511, 0.143, 0.433)
O (0.310, 0.944, 0.433)
O (0.657, 0.289, 0.068)
O (0.458, 0.086, 0.070)
O (0.531, 0.067, 0.252)
O (0.733, 0.267, 0.250)
O (0.332, 0.874, 0.251)
O (0.874, 0.332, 0.751)
O (0.668, 0.126, 0.749)
O (0.739, 0.115, 0.932)
O (0.542, 0.914, 0.930)
O (0.944, 0.310, 0.933)
O (0.885, 0.261, 0.568)
O (0.690, 0.056, 0.567)
O (0.902, 0.999, 0.123)
O (0.701, 0.800, 0.123)
O (0.797, 0.897, 0.381)
O (0.601, 0.697, 0.377)
O (0.203, 0.103, 0.619)
O (0.999, 0.902, 0.623)
O (0.098, 0.001, 0.877)
O (0.897, 0.797, 0.881)
O (0.115, 0.739, 0.432)
O (0.914, 0.542, 0.430)
O (0.857, 0.489, 0.067)
O (0.056, 0.690, 0.067)
O (0.261, 0.885, 0.068)
O (0.126, 0.668, 0.249)
O (0.933, 0.469, 0.248)
O (0.067, 0.531, 0.752)
O (0.469, 0.933, 0.748)
O (0.267, 0.733, 0.750)
O (0.343, 0.711, 0.932)
O (0.143, 0.511, 0.933)
O (0.489, 0.857, 0.567)
O (0.289, 0.657, 0.568)
O (0.510, 0.601, 0.111)
O (0.303, 0.399, 0.123)
O (0.399, 0.490, 0.389)
O (0.800, 0.701, 0.623)
O (0.601, 0.510, 0.611)
O (0.697, 0.601, 0.877)
O (0.086, 0.458, 0.570)

Calculated values
The calculation puts the formation energy from the elements at -3.3827 eV per atom. For the spin magnetization, the calculation gives 0.2000 μB/atom.

# ErAgS2

A geometry-optimized ErAgS2 structure (PBE-GGA, Materials Project).

Cell: 3.913 3.913 5.413 Å, 90.00 90.00 90.00°
Fractional positions:
Er (0.500, 0.500, 0.000)
Ag (0.000, 0.000, 0.500)
S (0.000, 0.000, 0.000)
S (0.500, 0.500, 0.500)

Calculated values
The calculation puts the formation energy from the elements at -1.4580 eV per atom. For the spin magnetization, the calculation gives 0.0000 μB/atom.

# Na6Sc4Zn4SiS11O48

A geometry-optimized Na6Sc4Zn4SiS11O48 structure (PBE-GGA, Materials Project).

Cell: 17.677 8.833 22.834 Å, 89.88 89.87 120.09°
Fractional positions:
Na (0.819, 0.999, 0.248)
Na (0.998, 0.635, 0.253)
Na (0.317, 0.644, 0.750)
Na (0.816, 0.640, 0.747)
Na (0.996, 0.361, 0.750)
Na (0.688, 0.002, 0.749)
Na (0.999, 0.999, 0.499)
Na (0.502, 0.002, 0.496)
Na (0.002, 0.002, 0.001)
Na (0.500, 0.000, 0.001)
Na (0.334, 0.316, 0.837)
Na (0.834, 0.326, 0.837)
Na (0.334, 0.335, 0.330)
Na (0.828, 0.343, 0.336)
Na (0.174, 0.669, 0.169)
Na (0.665, 0.656, 0.168)
Na (0.171, 0.683, 0.664)
Na (0.668, 0.668, 0.663)
Sc (0.997, 0.987, 0.353)
Sc (0.997, 0.004, 0.853)
Sc (0.495, 0.007, 0.853)
Sc (0.992, 0.994, 0.646)
Sc (0.494, 0.999, 0.647)
Sc (0.996, 0.994, 0.149)
Sc (0.498, 0.998, 0.150)
Sc (0.334, 0.317, 0.685)
Sc (0.333, 0.333, 0.479)
Sc (0.167, 0.667, 0.019)
Sc (0.666, 0.668, 0.019)
Sc (0.666, 0.655, 0.316)
Zn (0.498, 0.000, 0.351)
Zn (0.834, 0.321, 0.678)
Zn (0.334, 0.337, 0.183)
Zn (0.829, 0.345, 0.183)
Zn (0.333, 0.332, 0.985)
Zn (0.833, 0.333, 0.984)
Zn (0.832, 0.333, 0.483)
Zn (0.165, 0.664, 0.515)
Zn (0.668, 0.669, 0.515)
Zn (0.174, 0.672, 0.320)
Zn (0.174, 0.690, 0.818)
Zn (0.669, 0.671, 0.819)
Si (0.851, 0.698, 0.250)
Si (0.350, 0.997, 0.751)
Si (0.850, 0.000, 0.751)
S (0.149, 0.003, 0.250)
S (0.645, 0.000, 0.251)
S (0.353, 0.704, 0.251)
S (0.003, 0.296, 0.250)
S (0.497, 0.289, 0.251)
S (0.146, 0.290, 0.750)
S (0.645, 0.293, 0.750)
S (0.001, 0.709, 0.750)
S (0.500, 0.708, 0.750)
S (0.482, 0.339, 0.582)
S (0.982, 0.339, 0.582)
S (0.186, 0.036, 0.582)
S (0.686, 0.036, 0.583)
S (0.331, 0.625, 0.583)
S (0.831, 0.621, 0.583)
S (0.478, 0.624, 0.083)
S (0.979, 0.624, 0.083)
S (0.333, 0.044, 0.083)
S (0.834, 0.045, 0.083)
S (0.188, 0.333, 0.083)
S (0.687, 0.332, 0.082)
S (0.313, 0.660, 0.917)
S (0.813, 0.661, 0.917)
S (0.020, 0.377, 0.916)
S (0.520, 0.379, 0.916)
S (0.168, 0.964, 0.917)
S (0.668, 0.964, 0.916)
S (0.313, 0.957, 0.417)
S (0.813, 0.963, 0.417)
S (0.166, 0.376, 0.417)
S (0.666, 0.370, 0.419)
S (0.020, 0.663, 0.417)
S (0.521, 0.671, 0.418)
O (0.108, 0.028, 0.303)
O (0.605, 0.028, 0.303)
O (0.406, 0.786, 0.304)
O (0.915, 0.796, 0.305)
O (0.485, 0.184, 0.303)
O (0.990, 0.186, 0.302)
O (0.108, 0.182, 0.803)
O (0.606, 0.180, 0.802)
O (0.486, 0.789, 0.803)
O (0.988, 0.793, 0.803)
O (0.412, 0.027, 0.807)
O (0.916, 0.037, 0.806)
O (0.398, 0.964, 0.694)
O (0.897, 0.964, 0.695)
O (0.092, 0.206, 0.698)
O (0.593, 0.208, 0.697)
O (0.016, 0.818, 0.697)
O (0.517, 0.820, 0.698)
O (0.396, 0.815, 0.198)
O (0.897, 0.831, 0.194)
O (0.017, 0.216, 0.197)
O (0.511, 0.208, 0.197)
O (0.093, 0.974, 0.198)
O (0.592, 0.977, 0.197)
O (0.440, 0.360, 0.635)
O (0.945, 0.364, 0.638)
O (0.240, 0.121, 0.635)
O (0.735, 0.111, 0.638)
O (0.322, 0.523, 0.638)
O (0.821, 0.523, 0.639)
O (0.441, 0.519, 0.136)
O (0.943, 0.522, 0.137)
O (0.319, 0.120, 0.136)
O (0.820, 0.119, 0.138)
O (0.241, 0.362, 0.136)
O (0.738, 0.361, 0.136)
O (0.227, 0.307, 0.030)
O (0.725, 0.304, 0.029)
O (0.426, 0.548, 0.030)
O (0.926, 0.544, 0.031)
O (0.348, 0.148, 0.030)
O (0.846, 0.151, 0.031)
O (0.229, 0.148, 0.530)
O (0.728, 0.148, 0.531)
O (0.343, 0.535, 0.532)
O (0.845, 0.539, 0.532)
O (0.426, 0.312, 0.530)
O (0.926, 0.309, 0.531)
O (0.270, 0.688, 0.968)
O (0.769, 0.688, 0.968)
O (0.075, 0.464, 0.968)
O (0.575, 0.463, 0.969)
O (0.155, 0.852, 0.970)
O (0.656, 0.851, 0.968)
O (0.273, 0.852, 0.470)
O (0.773, 0.853, 0.469)
O (0.153, 0.453, 0.470)
O (0.653, 0.452, 0.471)
O (0.075, 0.690, 0.469)
O (0.573, 0.694, 0.470)
O (0.059, 0.641, 0.362)
O (0.561, 0.642, 0.364)
O (0.261, 0.885, 0.364)
O (0.761, 0.880, 0.363)
O (0.181, 0.480, 0.363)
O (0.678, 0.480, 0.365)
O (0.060, 0.478, 0.861)
O (0.562, 0.482, 0.863)
O (0.180, 0.885, 0.864)
O (0.680, 0.887, 0.862)
O (0.262, 0.636, 0.862)
O (0.763, 0.637, 0.862)
O (0.013, 0.825, 0.412)
O (0.510, 0.825, 0.411)
O (0.402, 0.979, 0.411)
O (0.902, 0.983, 0.411)
O (0.089, 0.198, 0.411)
O (0.587, 0.195, 0.411)
O (0.014, 0.201, 0.913)
O (0.514, 0.203, 0.913)
O (0.088, 0.979, 0.913)
O (0.588, 0.978, 0.912)
O (0.402, 0.822, 0.913)
O (0.901, 0.822, 0.912)
O (0.490, 0.178, 0.588)
O (0.992, 0.179, 0.589)
O (0.099, 0.022, 0.589)
O (0.597, 0.019, 0.589)
O (0.413, 0.799, 0.587)
O (0.913, 0.800, 0.588)
O (0.490, 0.803, 0.090)
O (0.991, 0.804, 0.088)
O (0.412, 0.021, 0.090)
O (0.913, 0.026, 0.088)
O (0.099, 0.177, 0.089)
O (0.597, 0.175, 0.089)
O (0.342, 0.173, 0.744)
O (0.843, 0.177, 0.745)
O (0.237, 0.322, 0.743)
O (0.735, 0.316, 0.744)
O (0.418, 0.536, 0.743)
O (0.919, 0.536, 0.745)
O (0.344, 0.529, 0.244)
O (0.848, 0.513, 0.245)
O (0.419, 0.309, 0.243)
O (0.921, 0.306, 0.244)
O (0.237, 0.158, 0.243)
O (0.735, 0.151, 0.244)
O (0.323, 0.505, 0.924)
O (0.823, 0.505, 0.924)
O (0.432, 0.356, 0.923)
O (0.932, 0.356, 0.922)
O (0.246, 0.139, 0.924)
O (0.747, 0.139, 0.923)
O (0.323, 0.137, 0.424)
O (0.822, 0.138, 0.422)
O (0.246, 0.355, 0.423)
O (0.746, 0.355, 0.423)
O (0.432, 0.509, 0.423)
O (0.931, 0.507, 0.422)
O (0.178, 0.492, 0.076)
O (0.676, 0.490, 0.076)
O (0.069, 0.645, 0.076)
O (0.568, 0.647, 0.076)
O (0.255, 0.864, 0.077)
O (0.755, 0.865, 0.077)
O (0.178, 0.863, 0.577)
O (0.676, 0.860, 0.577)
O (0.254, 0.644, 0.578)
O (0.754, 0.644, 0.578)
O (0.071, 0.496, 0.577)
O (0.569, 0.495, 0.577)
O (0.153, 0.838, 0.256)
O (0.653, 0.840, 0.256)
O (0.265, 0.690, 0.255)
O (0.757, 0.694, 0.256)
O (0.079, 0.476, 0.256)
O (0.577, 0.466, 0.255)
O (0.151, 0.463, 0.756)
O (0.654, 0.468, 0.756)
O (0.076, 0.678, 0.756)
O (0.577, 0.686, 0.756)
O (0.256, 0.817, 0.755)
O (0.754, 0.823, 0.756)

Calculated values
The calculation puts the formation energy from the elements at -2.3166 eV per atom. For the spin magnetization, the calculation gives 0.0000 μB/atom.

# Ce2NiRu3

A geometry-optimized Ce2NiRu3 structure (PBE-GGA, Materials Project).

Cell: 5.227 5.227 5.227 Å, 61.47 61.47 61.47°
Fractional positions:
Ce (0.625, 0.625, 0.625)
Ce (0.375, 0.375, 0.375)
Ni (0.000, 0.000, 0.000)
Ru (0.000, 0.500, 0.000)
Ru (0.500, 0.000, 0.000)
Ru (0.000, 0.000, 0.500)

Calculated values
The calculation puts the formation energy from the elements at -0.3344 eV per atom.

# Tl16O15F17

A geometry-optimized Tl16O15F17 structure (PBE-GGA, Materials Project).

Cell: 9.663 9.663 9.675 Å, 70.37 70.37 109.02°
Fractional positions:
Tl (0.248, 0.001, 0.271)
Tl (0.001, 0.248, 0.271)
Tl (0.978, 0.978, 0.999)
Tl (0.031, 0.531, 0.487)
Tl (0.531, 0.031, 0.487)
Tl (0.238, 0.238, 0.498)
Tl (0.762, 0.012, 0.735)
Tl (0.486, 0.771, 0.266)
Tl (0.771, 0.486, 0.266)
Tl (0.012, 0.762, 0.735)
Tl (0.236, 0.504, 0.740)
Tl (0.504, 0.236, 0.740)
Tl (0.760, 0.263, 0.013)
Tl (0.263, 0.760, 0.013)
Tl (0.474, 0.474, 0.012)
Tl (0.786, 0.786, 0.475)
O (0.988, 0.988, 0.216)
O (0.245, 0.245, 0.223)
O (0.951, 0.951, 0.793)
O (0.256, 0.014, 0.507)
O (0.014, 0.256, 0.507)
O (0.533, 0.028, 0.253)
O (0.028, 0.533, 0.253)
O (0.263, 0.531, 0.498)
O (0.531, 0.263, 0.498)
O (0.756, 0.998, 0.505)
O (0.998, 0.756, 0.505)
O (0.281, 0.805, 0.226)
O (0.505, 0.983, 0.784)
O (0.805, 0.281, 0.226)
O (0.983, 0.505, 0.784)
F (0.243, 0.009, 0.964)
F (0.009, 0.243, 0.964)
F (0.237, 0.237, 0.731)
F (0.471, 0.471, 0.272)
F (0.446, 0.446, 0.777)
F (0.720, 0.998, 0.001)
F (0.239, 0.508, 0.977)
F (0.998, 0.720, 0.001)
F (0.508, 0.239, 0.977)
F (0.720, 0.720, 0.237)
F (0.741, 0.525, 0.508)
F (0.525, 0.741, 0.508)
F (0.769, 0.279, 0.728)
F (0.279, 0.769, 0.728)
F (0.693, 0.693, 0.772)
F (0.706, 0.482, 0.033)
F (0.482, 0.706, 0.033)

Calculated values
The calculation puts the formation energy from the elements at -1.5792 eV per atom.

> Which value of formation energy from the elements does entry 3 give?

-3.3827 eV per atom

Repeat the third record exactly.
# MgTi14O25

A geometry-optimized MgTi14O25 structure (PBE-GGA, Materials Project).

Cell: 10.735 10.735 12.622 Å, 57.58 57.58 54.85°
Fractional positions:
Mg (0.696, 0.304, 0.750)
Mg (0.304, 0.696, 0.250)
Ti (0.905, 0.294, 0.253)
Ti (0.091, 0.357, 0.940)
Ti (0.513, 0.239, 0.060)
Ti (0.310, 0.038, 0.063)
Ti (0.357, 0.091, 0.440)
Ti (0.155, 0.890, 0.442)
Ti (0.554, 0.292, 0.443)
Ti (0.497, 0.105, 0.750)
Ti (0.706, 0.095, 0.247)
Ti (0.503, 0.895, 0.250)
Ti (0.038, 0.310, 0.563)
Ti (0.845, 0.110, 0.558)
Ti (0.890, 0.155, 0.942)
Ti (0.690, 0.962, 0.937)
Ti (0.110, 0.845, 0.058)
Ti (0.909, 0.643, 0.060)
Ti (0.962, 0.690, 0.437)
Ti (0.761, 0.487, 0.440)
Ti (0.294, 0.905, 0.753)
Ti (0.095, 0.706, 0.747)
Ti (0.105, 0.497, 0.250)
Ti (0.239, 0.513, 0.560)
Ti (0.446, 0.708, 0.557)
Ti (0.643, 0.909, 0.560)
Ti (0.292, 0.554, 0.943)
Ti (0.487, 0.761, 0.940)
Ti (0.708, 0.446, 0.057)
Ti (0.895, 0.503, 0.750)
O (0.711, 0.343, 0.432)
O (0.103, 0.203, 0.119)
O (0.200, 0.299, 0.377)
O (0.001, 0.098, 0.377)
O (0.399, 0.303, 0.623)
O (0.490, 0.399, 0.889)
O (0.299, 0.200, 0.877)
O (0.511, 0.143, 0.433)
O (0.310, 0.944, 0.433)
O (0.657, 0.289, 0.068)
O (0.458, 0.086, 0.070)
O (0.531, 0.067, 0.252)
O (0.733, 0.267, 0.250)
O (0.332, 0.874, 0.251)
O (0.874, 0.332, 0.751)
O (0.668, 0.126, 0.749)
O (0.739, 0.115, 0.932)
O (0.542, 0.914, 0.930)
O (0.944, 0.310, 0.933)
O (0.885, 0.261, 0.568)
O (0.690, 0.056, 0.567)
O (0.902, 0.999, 0.123)
O (0.701, 0.800, 0.123)
O (0.797, 0.897, 0.381)
O (0.601, 0.697, 0.377)
O (0.203, 0.103, 0.619)
O (0.999, 0.902, 0.623)
O (0.098, 0.001, 0.877)
O (0.897, 0.797, 0.881)
O (0.115, 0.739, 0.432)
O (0.914, 0.542, 0.430)
O (0.857, 0.489, 0.067)
O (0.056, 0.690, 0.067)
O (0.261, 0.885, 0.068)
O (0.126, 0.668, 0.249)
O (0.933, 0.469, 0.248)
O (0.067, 0.531, 0.752)
O (0.469, 0.933, 0.748)
O (0.267, 0.733, 0.750)
O (0.343, 0.711, 0.932)
O (0.143, 0.511, 0.933)
O (0.489, 0.857, 0.567)
O (0.289, 0.657, 0.568)
O (0.510, 0.601, 0.111)
O (0.303, 0.399, 0.123)
O (0.399, 0.490, 0.389)
O (0.800, 0.701, 0.623)
O (0.601, 0.510, 0.611)
O (0.697, 0.601, 0.877)
O (0.086, 0.458, 0.570)

Calculated values
The calculation puts the formation energy from the elements at -3.3827 eV per atom. For the spin magnetization, the calculation gives 0.2000 μB/atom.

> Which value of formation energy from the elements does entry 5 give?

-2.3166 eV per atom

> Which of these has the lowest formation energy from the elements?

Dy3TaO7